VASP calculation (meta-GGA r2SCAN) on crystalline Sb2Pt3 at its relaxed geometry.

Calculated values
energy of formation	-1.99	eV per formula unit
total magnetic moment	0.00	μB/f.u.
crystal system	orthorhombic
V	385.7	Å³/cell

Cell: 6.541 11.023 5.349 Å, 90.00 90.00 90.00°
Space group Ibam (No. 72)
Unique sites:
1 Sb 0.239 0.154 0.000 x8
2 Pt 0.000 0.000 0.250 x4
3 Pt 0.128 0.389 0.000 x8

***

VASP calculation (meta-GGA r2SCAN) on crystalline Er6Ni20P13 at its relaxed geometry.

Calculated values
energy of formation	-37.53	eV per formula unit
total magnetic moment	0.00	μB/f.u.
crystal system	hexagonal
V	504.4	Å³/cell

Cell: 12.5276 12.5276 3.7111 Å, 90.00 90.00 120.00°
Space group P-6 (No. 174)
Unique sites:
1 Er 0.0513 0.1961 0.0000 x3
2 Er 0.5223 0.3847 0.5000 x3
3 Ni 0.0000 0.0000 0.5000 x1
4 Ni 0.0157 0.4196 0.0000 x3
5 Ni 0.0924 0.7455 0.5000 x3
6 Ni 0.1372 0.5750 0.5000 x3
7 Ni 0.2555 0.5156 0.0000 x3
8 Ni 0.3119 0.2326 0.0000 x3
9 Ni 0.3541 0.1048 0.5000 x3
10 Ni 0.6667 0.3333 0.0000 x1
11 P 0.0536 0.6191 0.0000 x3
12 P 0.0980 0.3830 0.5000 x3
13 P 0.1954 0.1436 0.5000 x3
14 P 0.3333 0.6667 0.5000 x1
15 P 0.4708 0.1911 0.0000 x3

***

VASP calculation (meta-GGA r2SCAN) on crystalline CsLiCl2 at its relaxed geometry.

Calculated values
energy of formation	-8.43	eV per formula unit
total magnetic moment	0.00	μB/f.u.
crystal system	tetragonal
V	227.1	Å³/cell

Cell: 4.901 4.901 9.455 Å, 90.00 90.00 90.00°
Space group P4/nmm (No. 129, origin choice 2)
Unique sites:
1 Cs 0.250 0.250 0.197 x2
2 Li 0.250 0.250 0.581 x2
3 Cl 0.250 0.250 0.829 x2
4 Cl 0.250 0.750 0.500 x2

***

VASP calculation (meta-GGA r2SCAN) on crystalline CeI4O12 at its relaxed geometry.

Calculated values
energy of formation	-15.80	eV per formula unit
total magnetic moment	0.00	μB/f.u.
crystal system	tetragonal
V	524.3	Å³/cell

Cell: 9.930 9.930 5.317 Å, 90.00 90.00 90.00°
Space group P4_2/n (No. 86, origin choice 2)
Unique sites:
1 Ce 0.250 0.250 0.250 x2
2 I 0.027 0.749 0.216 x8
3 O 0.055 0.331 0.051 x8
4 O 0.095 0.323 0.559 x8
5 O 0.128 0.841 0.756 x8